Entry 1:
MgFeSb4O12 | PBE+U | relaxed

Cell lengths 5.273, 5.530, 7.621 Å; angles 86.61, 89.90, 89.96 degrees
Space group P1 (No. 1)
Inequivalent atoms, fractional coordinates:
Mg 0.000 0.000 0.000 [1 per cell]
Fe 0.003 0.006 0.502 [1 per cell]
Sb 0.005 0.584 0.290 [1 per cell]
Sb 0.498 0.102 0.787 [1 per cell]
Sb 0.503 0.105 0.284 [1 per cell]
Sb 0.995 0.578 0.791 [1 per cell]
O 0.113 0.629 0.542 [1 per cell]
O 0.182 0.921 0.236 [1 per cell]
O 0.183 0.278 0.862 [1 per cell]
O 0.282 0.812 0.860 [1 per cell]
O 0.314 0.409 0.227 [1 per cell]
O 0.373 0.104 0.538 [1 per cell]
O 0.636 0.106 0.038 [1 per cell]
O 0.687 0.405 0.727 [1 per cell]
O 0.714 0.812 0.360 [1 per cell]
O 0.816 0.282 0.357 [1 per cell]
O 0.821 0.916 0.748 [1 per cell]
O 0.888 0.631 0.042 [1 per cell]

Output
ΔE_f ... -1.908 eV/atom


Entry 2:
HoMnO3 | PBE+U | relaxed

Cell lengths 5.857, 7.478, 5.312 Å; angles 90.00, 90.00, 90.00 degrees
Space group Pnma (No. 62)
Inequivalent atoms, fractional coordinates:
Ho 0.083 0.250 0.019 [4 per cell]
Mn 0.000 0.000 0.500 [4 per cell]
O 0.044 0.750 0.378 [4 per cell]
O 0.174 0.558 0.800 [8 per cell]

Output
ΔE_f ... -3.043 eV/atom